VASP calculation (PBE with a Hubbard U) on an optimized crystal structure of MoH8N2O4.

```
data_MoH8N2O4
_chemical_formula_sum 'Mo4 H32 N8 O16'
_symmetry_space_group_name_H-M 'P 1 21/c 1'
_symmetry_Int_Tables_number 14
_cell_length_a 6.291
_cell_length_b 7.943
_cell_length_c 12.115
_cell_angle_alpha 90.00
_cell_angle_beta 112.15
_cell_angle_gamma 90.00
loop_
_symmetry_equiv_pos_as_xyz
'x,y,z'
'-x,-y,-z'
'-x,y+1/2,-z+1/2'
'x,-y+1/2,z+1/2'
loop_
_atom_site_label
_atom_site_type_symbol
_atom_site_fract_x
_atom_site_fract_y
_atom_site_fract_z
Mo1 Mo 0.083 0.130 0.313
H1 H 0.191 0.733 0.471
H2 H 0.225 0.595 0.586
H3 H 0.230 0.523 0.456
H4 H 0.288 0.227 0.653
H5 H 0.340 0.084 0.561
H6 H 0.365 0.023 0.697
H7 H 0.441 0.666 0.818
H8 H 0.451 0.647 0.547
N1 N 0.274 0.625 0.515
N2 N 0.390 0.124 0.648
O1 O 0.165 0.092 0.188
O2 O 0.165 0.547 0.913
O3 O 0.222 0.662 0.236
O4 O 0.240 0.190 0.894
```

- polymorph energy (0 for the lowest one) (kJ per mole of atoms) = 0.33
- formation enthalpy at 0 K (eV per atom) = -1.013



VASP calculation (PBE with a Hubbard U) on an optimized crystal structure of Li3V2Ge3O12.

```
data_Li3V2Ge3O12
_chemical_formula_sum 'Li24 V16 Ge24 O96'
_symmetry_space_group_name_H-M 'I a -3 d'
_symmetry_Int_Tables_number 230
_symmetry_space_group_name_Hall '-I 4bd 2c 3'
_cell_length_a 12.109
_cell_length_b 12.109
_cell_length_c 12.109
_cell_angle_alpha 90.00
_cell_angle_beta 90.00
_cell_angle_gamma 90.00
loop_
_atom_site_label
_atom_site_type_symbol
_atom_site_fract_x
_atom_site_fract_y
_atom_site_fract_z
Li1 Li 0.000 0.250 0.125
V1 V 0.000 0.000 0.000
Ge1 Ge 0.000 0.250 0.375
O1 O 0.031 0.048 0.648
```

- formation enthalpy at 0 K (eV per atom) = -2.220



VASP calculation (PBE with a Hubbard U) on an optimized crystal structure of FePH6NO5.

```
data_FePH6NO5
_chemical_formula_sum 'Fe2 P2 H12 N2 O10'
_symmetry_space_group_name_H-M 'P 1'
_symmetry_Int_Tables_number 1
_cell_length_a 4.859
_cell_length_b 5.705
_cell_length_c 9.036
_cell_angle_alpha 89.95
_cell_angle_beta 89.83
_cell_angle_gamma 88.90
loop_
_symmetry_equiv_pos_as_xyz
'x,y,z'
loop_
_atom_site_label
_atom_site_type_symbol
_atom_site_fract_x
_atom_site_fract_y
_atom_site_fract_z
Fe1 Fe 0.000 0.000 0.000
Fe2 Fe 0.496 0.500 0.954
P1 P 0.066 0.500 0.173
P2 P 0.569 0.998 0.782
H1 H 0.055 0.635 0.788
H2 H 0.076 0.360 0.784
H3 H 0.115 0.148 0.392
H4 H 0.119 0.849 0.394
H5 H 0.301 0.000 0.522
H6 H 0.445 0.501 0.429
H7 H 0.561 0.136 0.167
H8 H 0.573 0.861 0.169
H9 H 0.615 0.647 0.564
H10 H 0.617 0.348 0.562
H11 H 0.802 0.499 0.433
H12 H 0.944 0.001 0.526
N1 N 0.120 0.999 0.458
N2 N 0.620 0.499 0.498
O1 O 0.119 0.500 0.343
O2 O 0.187 0.502 0.774
O3 O 0.209 0.718 0.100
O4 O 0.218 0.284 0.098
O5 O 0.259 0.002 0.812
O6 O 0.621 0.007 0.612
O7 O 0.688 0.000 0.181
O8 O 0.714 0.774 0.850
O9 O 0.715 0.209 0.860
O10 O 0.757 0.502 0.144
```

- formation enthalpy at 0 K (eV per atom) = -1.482



Repeat the third record exactly.
VASP calculation (PBE with a Hubbard U) on an optimized crystal structure of FePH6NO5.

```
data_FePH6NO5
_chemical_formula_sum 'Fe2 P2 H12 N2 O10'
_symmetry_space_group_name_H-M 'P 1'
_symmetry_Int_Tables_number 1
_cell_length_a 4.859
_cell_length_b 5.705
_cell_length_c 9.036
_cell_angle_alpha 89.95
_cell_angle_beta 89.83
_cell_angle_gamma 88.90
loop_
_symmetry_equiv_pos_as_xyz
'x,y,z'
loop_
_atom_site_label
_atom_site_type_symbol
_atom_site_fract_x
_atom_site_fract_y
_atom_site_fract_z
Fe1 Fe 0.000 0.000 0.000
Fe2 Fe 0.496 0.500 0.954
P1 P 0.066 0.500 0.173
P2 P 0.569 0.998 0.782
H1 H 0.055 0.635 0.788
H2 H 0.076 0.360 0.784
H3 H 0.115 0.148 0.392
H4 H 0.119 0.849 0.394
H5 H 0.301 0.000 0.522
H6 H 0.445 0.501 0.429
H7 H 0.561 0.136 0.167
H8 H 0.573 0.861 0.169
H9 H 0.615 0.647 0.564
H10 H 0.617 0.348 0.562
H11 H 0.802 0.499 0.433
H12 H 0.944 0.001 0.526
N1 N 0.120 0.999 0.458
N2 N 0.620 0.499 0.498
O1 O 0.119 0.500 0.343
O2 O 0.187 0.502 0.774
O3 O 0.209 0.718 0.100
O4 O 0.218 0.284 0.098
O5 O 0.259 0.002 0.812
O6 O 0.621 0.007 0.612
O7 O 0.688 0.000 0.181
O8 O 0.714 0.774 0.850
O9 O 0.715 0.209 0.860
O10 O 0.757 0.502 0.144
```

- formation enthalpy at 0 K (eV per atom) = -1.482



Copy entry 2 word for word.
VASP calculation (PBE with a Hubbard U) on an optimized crystal structure of Li3V2Ge3O12.

```
data_Li3V2Ge3O12
_chemical_formula_sum 'Li24 V16 Ge24 O96'
_symmetry_space_group_name_H-M 'I a -3 d'
_symmetry_Int_Tables_number 230
_symmetry_space_group_name_Hall '-I 4bd 2c 3'
_cell_length_a 12.109
_cell_length_b 12.109
_cell_length_c 12.109
_cell_angle_alpha 90.00
_cell_angle_beta 90.00
_cell_angle_gamma 90.00
loop_
_atom_site_label
_atom_site_type_symbol
_atom_site_fract_x
_atom_site_fract_y
_atom_site_fract_z
Li1 Li 0.000 0.250 0.125
V1 V 0.000 0.000 0.000
Ge1 Ge 0.000 0.250 0.375
O1 O 0.031 0.048 0.648
```

- formation enthalpy at 0 K (eV per atom) = -2.220



> What is the formula in the second record?

Li3V2Ge3O12